--- one ---
This record from the Materials Project describes a relaxed Cu2CO5 crystal. The functional is PBE-GGA.

* symmetry: P2_1/c, No. 14
* total moment: 0.0000 μB per atom
* crystal system: monoclinic

```
Cu2CO5
1.0
8.941 0.000 0.000
0.000 2.991 0.000
0.000 2.217 12.642
Cu C O
8 4 20
direct
0.510 0.018 0.721
0.010 0.982 0.779
0.490 0.982 0.279
0.990 0.018 0.221
0.741 0.405 0.879
0.241 0.595 0.621
0.259 0.595 0.121
0.759 0.405 0.379
0.783 0.368 0.629
0.283 0.632 0.871
0.217 0.632 0.371
0.717 0.368 0.129
0.638 0.444 0.634
0.138 0.556 0.866
0.362 0.556 0.366
0.862 0.444 0.134
0.857 0.395 0.717
0.357 0.605 0.783
0.143 0.605 0.283
0.643 0.395 0.217
0.845 0.288 0.548
0.345 0.712 0.952
0.155 0.712 0.452
0.655 0.288 0.048
0.616 0.932 0.847
0.116 0.068 0.653
0.384 0.068 0.153
0.884 0.932 0.347
0.874 0.890 0.897
0.374 0.110 0.603
0.126 0.110 0.103
0.626 0.890 0.397
```

--- two ---
This record from the Materials Project describes a relaxed Cu2CO5 crystal. The functional is PBE-GGA.

* symmetry: P2_1/c, No. 14
* total moment: 0.0000 μB per atom
* crystal system: monoclinic

```
Cu2CO5
1.0
-5.798 3.842 -10.598
-2.459 -1.517 0.796
-3.758 6.774 4.512
Cu C O
8 4 20
direct
0.222 0.103 0.003
0.722 0.897 0.497
0.778 0.897 0.997
0.278 0.103 0.503
0.118 0.612 0.734
0.618 0.388 0.766
0.882 0.388 0.266
0.382 0.612 0.234
0.369 0.538 0.774
0.869 0.462 0.726
0.631 0.462 0.226
0.131 0.538 0.274
0.369 0.709 0.635
0.869 0.291 0.865
0.631 0.291 0.365
0.131 0.709 0.135
0.278 0.543 0.847
0.778 0.457 0.653
0.722 0.457 0.153
0.222 0.543 0.347
0.450 0.362 0.835
0.950 0.638 0.665
0.550 0.638 0.165
0.050 0.362 0.335
0.152 0.132 0.608
0.652 0.868 0.892
0.848 0.868 0.392
0.348 0.132 0.108
0.104 0.086 0.868
0.604 0.914 0.632
0.896 0.914 0.132
0.396 0.086 0.368
```

Which structure loses on stability? two does.